(1)
DFT (GGA-PBE) results for a relaxed structure of TlGaSe2.

Geometry as POSCAR:
```
TlGaSe2
1.0
5.119 -4.271 0.270
-1.044 4.481 4.832
-5.382 -3.935 0.278
Se Ga Tl
4 2 2
direct
0.159 0.341 0.500
0.659 0.159 0.818
0.341 0.841 0.182
0.841 0.659 0.500
0.250 0.750 0.500
0.750 0.250 0.500
0.250 0.250 0.000
0.750 0.750 0.000
```

Energy relative to the lowest polymorph listed for this composition, meV per atom: 16.3
Energy relative to the elements, eV/atom: -0.80
SG: I4/mcm, No. 140
Magnetization, μB per formula unit: 0.0

(2)
DFT (GGA-PBE) results for a relaxed structure of MgAl2O4.

Geometry as POSCAR:
```
MgAl2O4
1.0
-3.890 -2.905 3.132
-4.610 2.742 2.147
-5.253 -1.047 -2.166
O Al Mg
8 4 2
direct
0.361 0.916 0.361
0.889 0.889 0.889
0.916 0.361 0.361
0.361 0.361 0.361
0.361 0.361 0.916
0.889 0.334 0.889
0.334 0.889 0.889
0.889 0.889 0.334
0.125 0.625 0.125
0.125 0.125 0.625
0.625 0.125 0.125
0.125 0.125 0.125
0.500 0.500 0.500
0.750 0.750 0.750
```

Energy relative to the lowest polymorph listed for this composition, meV per atom: 0.0
Energy relative to the elements, eV/atom: -3.37
SG: Fd-3m, No. 227

> Look up the energy relative to the elements of the first one.

-0.80 eV/atom

> Among the records above, which one has the lowest energy relative to the lowest polymorph listed for this composition?

MgAl2O4

> energy relative to the lowest polymorph listed for this composition of number 2 (MgAl2O4)?

0.0 meV per atom